Material: Na14Zr8Si11SO48
Method: DFT, PBE
State: relaxed

Lattice parameters (Å, degrees): 18.5370 9.2792 23.0580 90.01 90.01 120.00
Closest atoms and distances in Å follow each position.
Fractional positions:
Na1 0.3204 0.0000 0.2500  4 O 2.38-2.64
Na2 0.8203 0.0000 0.2500  4 O 2.38-2.64
Na3 0.3206 0.6425 0.7508  4 O 2.39-2.65
Na4 0.8167 0.6316 0.7493  4 O 2.41-2.60
Na5 0.5006 0.3647 0.7510  5 O 2.51-2.76
Na6 0.6846 0.0027 0.7493  5 O 2.47-2.76
Na7 0.1507 0.3354 0.5808  5 O 2.51-2.68
Na8 0.6505 0.3329 0.5841  6 O 2.53-2.77
Na9 0.0165 0.6946 0.5835  6 O 2.50-2.78
Na10 0.5173 0.7022 0.5830  6 O 2.53-2.78
Na11 0.3332 0.9649 0.5835  6 O 2.54-2.80
Na12 0.8318 0.9690 0.5834  5 O 2.50-2.80
Na13 0.1511 0.9676 0.0816  5 O 2.52-2.69
Na14 0.6511 0.9684 0.0816  5 O 2.51-2.74
Na15 0.3318 0.6962 0.0834  6 O 2.52-2.81
Na16 0.8317 0.6957 0.0837  6 O 2.52-2.80
Na17 0.0173 0.3377 0.0833  6 O 2.51-2.78
Na18 0.5171 0.3368 0.0835  6 O 2.52-2.78
Na19 0.4829 0.6669 0.9165  6 O 2.53-2.78
Na20 0.9839 0.6622 0.9167  5 O 2.51-2.73
Na21 0.3500 0.0327 0.9165  6 O 2.52-2.81
Na22 0.8486 0.0354 0.9166  6 O 2.49-2.79
Na23 0.1675 0.3042 0.9191  5 O 2.51-2.69
Na24 0.6664 0.2982 0.9163  6 O 2.53-2.77
Na25 0.4838 0.3040 0.4164  6 O 2.52-2.80
Na26 0.9836 0.3042 0.4166  6 O 2.52-2.81
Na27 0.1671 0.0317 0.4184  5 O 2.51-2.70
Na28 0.6670 0.0322 0.4186  5 O 2.51-2.74
Na29 0.3487 0.6632 0.4165  6 O 2.51-2.80
Na30 0.8485 0.6623 0.4165  6 O 2.51-2.77
Na31 0.0009 0.0009 0.4997  6 O 2.64-2.67
Na32 0.5007 0.9995 0.5012  6 O 2.59-2.68
Na33 0.0014 0.0020 0.0004  6 O 2.63-2.66
Na34 0.5004 0.9999 0.9987  6 O 2.59-2.68
Na35 0.3337 0.3269 0.8345  6 O 2.58-2.75
Na36 0.8378 0.3342 0.8310  6 O 2.54-2.69
Na37 0.3384 0.3489 0.3318  6 O 2.52-2.77
Na38 0.8383 0.3490 0.3320  6 O 2.52-2.77
Na39 0.1639 0.6511 0.1680  6 O 2.52-2.78
Na40 0.6639 0.6510 0.1682  6 O 2.51-2.77
Na41 0.1635 0.6761 0.6679  6 O 2.50-2.78
Na42 0.6671 0.6672 0.6668  6 O 2.61-2.63
Zr1 0.9939 0.9963 0.3521  5 O 2.02-2.17
Zr2 0.4939 0.9964 0.3522  5 O 2.02-2.16
Zr3 0.9946 0.9914 0.8526  5 O 2.02-2.15
Zr4 0.4992 0.9999 0.8506  6 O 2.06-2.18
Zr5 0.9958 0.9878 0.6473  5 O 2.02-2.15
Zr6 0.4997 0.9997 0.6494  6 O 2.06-2.17
Zr7 0.9957 0.0036 0.1479  5 O 2.02-2.17
Zr8 0.4957 0.0038 0.1478  5 O 2.02-2.16
Zr9 0.3353 0.3282 0.6831  5 O 2.02-2.17
Zr10 0.8373 0.3352 0.6865  6 O 2.04-2.19
Zr11 0.3392 0.3488 0.1851  5 O 1.99-2.14
Zr12 0.8392 0.3489 0.1851  5 O 1.99-2.14
Zr13 0.3336 0.3352 0.9825  6 O 2.07-2.16
Zr14 0.8333 0.3332 0.9824  6 O 2.06-2.17
Zr15 0.3336 0.3338 0.4820  6 O 2.06-2.17
Zr16 0.8341 0.3326 0.4824  6 O 2.06-2.17
Zr17 0.1670 0.6658 0.0176  6 O 2.05-2.17
Zr18 0.6669 0.6665 0.0180  6 O 2.07-2.17
Zr19 0.1666 0.6665 0.5176  6 O 2.06-2.17
Zr20 0.6664 0.6672 0.5175  6 O 2.06-2.17
Zr21 0.1648 0.6513 0.3150  5 O 1.99-2.14
Zr22 0.6648 0.6511 0.3150  5 O 1.99-2.14
Zr23 0.1647 0.6777 0.8158  5 O 1.99-2.15
Zr24 0.6669 0.6674 0.8148  6 O 2.07-2.16
Si1 0.3509 0.7024 0.2502  4 O 1.63-1.66
Si2 0.8508 0.7024 0.2502  4 O 1.63-1.66
Si3 0.9996 0.2975 0.2498  4 O 1.63-1.66
Si4 0.4996 0.2975 0.2498  4 O 1.63-1.66
Si5 0.6478 0.2950 0.7500  4 O 1.63-1.65
Si6 0.0016 0.7047 0.7497  4 O 1.63-1.66
Si7 0.4985 0.7029 0.7500  4 O 1.64-1.65
Si8 0.3506 0.9978 0.7499  4 O 1.64-1.65
Si9 0.8526 0.0019 0.7503  4 O 1.62-1.65
Si10 0.4816 0.3332 0.5826  4 O 1.64-1.65
Si11 0.9815 0.3339 0.5830  4 O 1.63-1.65
Si12 0.1862 0.0396 0.5826  4 O 1.64-1.65
Si13 0.6865 0.0402 0.5840  4 O 1.63-1.65
Si14 0.3328 0.6264 0.5845  4 O 1.64-1.65
Si15 0.8319 0.6238 0.5837  4 O 1.63-1.66
Si16 0.4821 0.6307 0.0824  4 O 1.64-1.65
Si17 0.9821 0.6305 0.0821  4 O 1.64-1.65
Si18 0.3316 0.0410 0.0847  4 O 1.63-1.66
Si19 0.8317 0.0408 0.0849  4 O 1.63-1.66
Si20 0.1868 0.3320 0.0836  4 O 1.63-1.65
Si21 0.6868 0.3320 0.0835  4 O 1.63-1.65
Si22 0.3128 0.6655 0.9149  4 O 1.64-1.65
Si23 0.8129 0.6641 0.9168  4 O 1.63-1.66
Si24 0.0203 0.3731 0.9167  4 O 1.63-1.65
Si25 0.5194 0.3721 0.9165  4 O 1.64-1.65
Si26 0.1671 0.9640 0.9182  4 O 1.64
Si27 0.6665 0.9615 0.9167  4 O 1.64-1.65
Si28 0.3113 0.9592 0.4152  4 O 1.63-1.66
Si29 0.8113 0.9592 0.4151  4 O 1.63-1.66
Si30 0.1667 0.3696 0.4177  4 O 1.64-1.65
Si31 0.6668 0.3697 0.4180  4 O 1.64-1.65
Si32 0.0208 0.6680 0.4165  4 O 1.63-1.65
Si33 0.5207 0.6680 0.4163  4 O 1.63-1.65
S1 0.1469 0.0000 0.2500  4 O 1.48-1.49
S2 0.6469 0.0000 0.2500  4 O 1.48-1.49
S3 0.1473 0.2944 0.7499  4 O 1.47-1.50
O1 0.1056 0.0194 0.3026  1 S 1.49
O2 0.6056 0.0194 0.3026  1 S 1.49
O3 0.4090 0.7944 0.3078  1 Si 1.65
O4 0.9090 0.7945 0.3078  1 Si 1.65
O5 0.4876 0.1777 0.3066  1 Si 1.66
O6 0.9876 0.1777 0.3066  1 Si 1.66
O7 0.1062 0.1920 0.8026  1 S 1.50
O8 0.6029 0.1758 0.8069  1 Si 1.65
O9 0.4834 0.7915 0.8069  1 Si 1.65
O10 0.9888 0.7993 0.8067  1 Si 1.66
O11 0.4109 0.0312 0.8071  1 Si 1.65
O12 0.9100 0.0243 0.8078  1 Si 1.65
O13 0.3962 0.9713 0.6926  1 Si 1.65
O14 0.8987 0.9734 0.6936  1 Si 1.65
O15 0.0963 0.2113 0.6973  1 S 1.49
O16 0.5876 0.2074 0.6931  1 Si 1.65
O17 0.0131 0.8208 0.6922  1 Si 1.66
O18 0.5145 0.8218 0.6930  1 Si 1.65
O19 0.3987 0.8223 0.1934  1 Si 1.66
O20 0.8987 0.8223 0.1934  1 Si 1.66
O21 0.0116 0.2052 0.1923  1 Si 1.65
O22 0.5117 0.2053 0.1922  1 Si 1.65
O23 0.0959 0.9806 0.1974  1 S 1.49
O24 0.5959 0.9806 0.1974  1 S 1.49
O25 0.4376 0.3653 0.6397  1 Si 1.65
O26 0.9351 0.3677 0.6369  1 Si 1.63
O27 0.2486 0.1326 0.6373  1 Si 1.64
O28 0.7462 0.1276 0.6404  1 Si 1.63
O29 0.3170 0.5071 0.6414  1 Si 1.65
O30 0.8170 0.5083 0.6405  1 Si 1.63
O31 0.4366 0.5040 0.1369  1 Si 1.64
O32 0.9364 0.5041 0.1367  1 Si 1.64
O33 0.3162 0.1267 0.1415  1 Si 1.63
O34 0.8162 0.1267 0.1416  1 Si 1.63
O35 0.2500 0.3644 0.1374  1 Si 1.63
O36 0.7500 0.3645 0.1374  1 Si 1.63
O37 0.2275 0.2993 0.0248  1 Si 1.65
O38 0.7281 0.2998 0.0249  1 Si 1.65
O39 0.4224 0.5477 0.0250  1 Si 1.65
O40 0.9223 0.5476 0.0249  1 Si 1.65
O41 0.3494 0.1592 0.0270  1 Si 1.65
O42 0.8496 0.1585 0.0271  1 Si 1.65
O43 0.2277 0.1558 0.5247  1 Si 1.64
O44 0.7298 0.1575 0.5262  1 Si 1.65
O45 0.3484 0.5387 0.5273  1 Si 1.65
O46 0.8499 0.5418 0.5261  1 Si 1.65
O47 0.4215 0.3016 0.5261  1 Si 1.64
O48 0.9227 0.2971 0.5249  1 Si 1.65
O49 0.2696 0.6973 0.9726  1 Si 1.65
O50 0.7715 0.7000 0.9739  1 Si 1.64
O51 0.0778 0.4553 0.9751  1 Si 1.65
O52 0.5787 0.4595 0.9736  1 Si 1.65
O53 0.1485 0.8443 0.9753  1 Si 1.64
O54 0.6512 0.8428 0.9738  1 Si 1.65
O55 0.2702 0.8411 0.4730  1 Si 1.65
O56 0.7703 0.8415 0.4729  1 Si 1.65
O57 0.1487 0.4527 0.4751  1 Si 1.65
O58 0.6486 0.4531 0.4751  1 Si 1.65
O59 0.0780 0.7006 0.4751  1 Si 1.65
O60 0.5779 0.7002 0.4750  1 Si 1.65
O61 0.0677 0.6357 0.3626  1 Si 1.63
O62 0.5676 0.6353 0.3625  1 Si 1.63
O63 0.2529 0.8734 0.3584  1 Si 1.63
O64 0.7530 0.8734 0.3584  1 Si 1.63
O65 0.1844 0.4960 0.3631  1 Si 1.64
O66 0.6845 0.4960 0.3633  1 Si 1.64
O67 0.0671 0.4991 0.8626  1 Si 1.63
O68 0.5632 0.4909 0.8597  1 Si 1.64
O69 0.1843 0.8731 0.8633  1 Si 1.64
O70 0.6824 0.8739 0.8598  1 Si 1.65
O71 0.2531 0.6324 0.8582  1 Si 1.64
O72 0.7548 0.6354 0.8597  1 Si 1.63
O73 0.0131 0.8367 0.4099  1 Si 1.65
O74 0.5131 0.8366 0.4098  1 Si 1.65
O75 0.4049 0.9773 0.4110  1 Si 1.66
O76 0.9050 0.9775 0.4111  1 Si 1.66
O77 0.0842 0.1847 0.4096  1 Si 1.64
O78 0.5843 0.1851 0.4095  1 Si 1.64
O79 0.0132 0.1896 0.9098  1 Si 1.65
O80 0.5109 0.1876 0.9119  1 Si 1.64
O81 0.0846 0.9841 0.9097  1 Si 1.64
O82 0.5825 0.9779 0.9118  1 Si 1.64
O83 0.4053 0.8337 0.9111  1 Si 1.65
O84 0.9061 0.8334 0.9118  1 Si 1.66
O85 0.4889 0.1651 0.5879  1 Si 1.64
O86 0.9920 0.1690 0.5909  1 Si 1.65
O87 0.0947 0.0261 0.5897  1 Si 1.65
O88 0.5937 0.0221 0.5883  1 Si 1.65
O89 0.4167 0.8110 0.5888  1 Si 1.64
O90 0.9166 0.8111 0.5883  1 Si 1.66
O91 0.4919 0.8151 0.0906  1 Si 1.64
O92 0.9918 0.8151 0.0905  1 Si 1.64
O93 0.4162 0.0227 0.0889  1 Si 1.66
O94 0.9163 0.0225 0.0889  1 Si 1.66
O95 0.0947 0.1632 0.0901  1 Si 1.65
O96 0.5948 0.1633 0.0902  1 Si 1.65
O97 0.3464 0.1704 0.7447  1 Si 1.65
O98 0.8383 0.1605 0.7461  1 Si 1.62
O99 0.2312 0.3129 0.7455  1 S 1.48
O100 0.7393 0.3116 0.7452  1 Si 1.63
O101 0.4132 0.5193 0.7453  1 Si 1.65
O102 0.9131 0.5295 0.7452  1 Si 1.64
O103 0.3406 0.5178 0.2457  1 Si 1.63
O104 0.8407 0.5179 0.2458  1 Si 1.63
O105 0.4099 0.2934 0.2455  1 Si 1.65
O106 0.9099 0.2934 0.2455  1 Si 1.65
O107 0.2308 0.1488 0.2456  1 S 1.48
O108 0.7308 0.1488 0.2456  1 S 1.48
O109 0.3219 0.4987 0.9213  1 Si 1.65
O110 0.8231 0.4996 0.9217  1 Si 1.63
O111 0.4270 0.3551 0.9216  1 Si 1.64
O112 0.9275 0.3535 0.9218  1 Si 1.64
O113 0.2510 0.1474 0.9221  1 Si 1.64
O114 0.7507 0.1453 0.9220  1 Si 1.64
O115 0.3226 0.1454 0.4216  1 Si 1.64
O116 0.8225 0.1455 0.4214  1 Si 1.64
O117 0.2508 0.3546 0.4220  1 Si 1.64
O118 0.7509 0.3544 0.4224  1 Si 1.64
O119 0.4277 0.5017 0.4216  1 Si 1.65
O120 0.9278 0.5016 0.4217  1 Si 1.64
O121 0.1772 0.4986 0.0784  1 Si 1.65
O122 0.6772 0.4983 0.0783  1 Si 1.65
O123 0.0737 0.6456 0.0779  1 Si 1.64
O124 0.5737 0.6458 0.0779  1 Si 1.64
O125 0.2499 0.8543 0.0782  1 Si 1.64
O126 0.7499 0.8544 0.0785  1 Si 1.64
O127 0.1771 0.8548 0.5783  1 Si 1.64
O128 0.6779 0.8553 0.5781  1 Si 1.65
O129 0.2492 0.6440 0.5785  1 Si 1.64
O130 0.7499 0.6463 0.5782  1 Si 1.64
O131 0.0735 0.5014 0.5779  1 Si 1.64
O132 0.5731 0.5017 0.5785  1 Si 1.64
O133 0.1564 0.8514 0.2544  1 S 1.48
O134 0.6564 0.8514 0.2544  1 S 1.48
O135 0.2632 0.7066 0.2545  1 Si 1.65
O136 0.7631 0.7066 0.2545  1 Si 1.65
O137 0.0818 0.4822 0.2542  1 Si 1.63
O138 0.5818 0.4823 0.2542  1 Si 1.63
O139 0.1568 0.4613 0.7544  1 S 1.47
O140 0.6551 0.4785 0.7550  1 Si 1.64
O141 0.0837 0.6842 0.7542  1 Si 1.63
O142 0.5822 0.6855 0.7547  1 Si 1.64
O143 0.2625 0.8214 0.7549  1 Si 1.64
O144 0.7613 0.8297 0.7546  1 Si 1.65

Calculated values
SG: P1, No. 1
Electronic total energy, eV/atom: -7.42
Formation energy from the elements, eV/f.u.: -252.8

Material: Na2SnS3O7
Method: DFT, PBE
State: relaxed

Lattice parameters (Å, degrees): 7.6806 7.6394 9.1451 104.06 66.88 104.68
Closest atoms and distances in Å follow each position.
Fractional positions:
Na1 0.8471 0.3193 0.4401  3 O 2.26-2.53
Na2 0.1529 0.6807 0.5599  3 O 2.26-2.53
Na3 0.5203 0.5099 0.2709  4 O 2.30-2.52
Na4 0.4797 0.4901 0.7291  4 O 2.30-2.52
Sn1 0.8479 0.0154 0.8933  1 O 2.06
Sn2 0.1521 0.9846 0.1067  1 O 2.06
S1 0.8639 0.5170 0.8481  2 O 1.48-1.51
S2 0.1361 0.4830 0.1519  2 O 1.48-1.51
S3 0.6522 0.8793 0.5225  2 O 1.47-1.62
S4 0.3478 0.1207 0.4775  2 O 1.47-1.62
S5 0.5020 0.0126 0.1304  1 O 1.81
S6 0.4980 0.9874 0.8696  1 O 1.81
O1 0.9038 0.7525 0.8358  1 S 1.77
O2 0.0962 0.2475 0.1642  1 S 1.77
O3 0.8006 0.7409 0.4790  1 O 1.46, 1 S 1.62
O4 0.1994 0.2591 0.5210  1 O 1.46, 1 S 1.62
O5 0.6993 0.4890 0.9996  1 S 1.48
O6 0.3007 0.5110 0.0004  1 S 1.48
O7 0.7156 0.5506 0.4359  1 O 1.46
O8 0.2844 0.4494 0.5641  1 O 1.46
O9 0.5203 0.1789 0.3054  2 S 1.68-1.81
O10 0.4797 0.8211 0.6946  2 S 1.68-1.81
O11 0.8005 0.4359 0.7056  1 S 1.51
O12 0.1995 0.5641 0.2944  1 S 1.51
O13 0.4562 0.1843 0.5882  1 S 1.47
O14 0.5438 0.8157 0.4118  1 S 1.47

Calculated values
SG: P-1, No. 2
Electronic total energy, eV/atom: -5.09
Formation energy from the elements, eV/f.u.: -13.6